No. 1
! BaNi2As2 | Materials Project | GGA-PBE | optimized geometry; values from VASP
&SYSTEM
  ibrav = 0, nat = 5, ntyp = 3
/
ATOMIC_SPECIES
Ni 58.69 Ni.upf
Ba 137.33 Ba.upf
As 74.92 As.upf
CELL_PARAMETERS angstrom
4.157 0.000 0.000
0.000 4.157 0.000
-2.078 -2.078 5.885
ATOMIC_POSITIONS crystal
Ni 0.250 0.750 0.500
Ni 0.750 0.250 0.500
Ba 0.000 0.000 0.000
As 0.654 0.654 0.307
As 0.346 0.346 0.693
! Total energy in eV per atom: -5.22
! Formation energy from the elements in eV/atom: -0.657
! Space-group type: I4/mmm

No. 2
! Na30Nb8Zn16Si15S21O144 | Materials Project | GGA-PBE | optimized geometry; values from VASP
&SYSTEM
  ibrav = 0, nat = 234, ntyp = 6
/
ATOMIC_SPECIES
S 32.06 S.upf
O 16.00 O.upf
Si 28.09 Si.upf
Na 22.99 Na.upf
Zn 65.41 Zn.upf
Nb 92.91 Nb.upf
CELL_PARAMETERS angstrom
18.110 -0.010 0.071
-4.532 7.864 0.005
0.090 0.067 22.348
ATOMIC_POSITIONS crystal
S 0.019 0.374 0.920
S 0.332 0.032 0.083
S 0.837 0.042 0.083
S 0.520 0.369 0.919
S 0.682 0.035 0.583
S 0.335 0.633 0.583
S 0.168 0.962 0.920
S 0.810 0.955 0.419
S 0.835 0.633 0.583
S 0.669 0.963 0.918
S 0.669 0.374 0.418
S 0.169 0.375 0.418
S 0.182 0.333 0.084
S 0.811 0.664 0.921
S 0.310 0.955 0.419
S 0.520 0.671 0.418
S 0.686 0.331 0.083
S 0.019 0.670 0.418
S 0.982 0.633 0.083
S 0.183 0.036 0.583
S 0.311 0.664 0.918
O 0.590 0.972 0.915
O 0.832 0.150 0.743
O 0.589 0.480 0.260
O 0.992 0.158 0.590
O 0.764 0.866 0.079
O 0.918 0.029 0.088
O 0.161 0.857 0.972
O 0.673 0.480 0.079
O 0.568 0.681 0.472
O 0.761 0.859 0.362
O 0.578 0.648 0.077
O 0.937 0.509 0.414
O 0.915 0.779 0.308
O 0.823 0.539 0.639
O 0.744 0.332 0.738
O 0.512 0.201 0.913
O 0.089 0.701 0.759
O 0.763 0.854 0.471
O 0.070 0.463 0.973
O 0.815 0.123 0.415
O 0.221 0.305 0.030
O 0.020 0.835 0.690
O 0.222 0.141 0.529
O 0.429 0.554 0.019
O 0.935 0.367 0.919
O 0.093 0.012 0.586
O 0.248 0.127 0.919
O 0.067 0.484 0.864
O 0.079 0.959 0.194
O 0.093 0.172 0.088
O 0.728 0.308 0.030
O 0.676 0.871 0.861
O 0.572 0.657 0.364
O 0.748 0.132 0.918
O 0.345 0.143 0.031
O 0.113 0.172 0.811
O 0.900 0.962 0.696
O 0.815 0.504 0.920
O 0.990 0.809 0.088
O 0.671 0.863 0.578
O 0.931 0.301 0.518
O 0.520 0.838 0.695
O 0.262 0.853 0.471
O 0.660 0.857 0.970
O 0.747 0.364 0.419
O 0.568 0.454 0.973
O 0.834 0.514 0.240
O 0.900 0.841 0.194
O 0.944 0.539 0.140
O 0.396 0.975 0.417
O 0.651 0.478 0.760
O 0.019 0.193 0.198
O 0.070 0.659 0.078
O 0.247 0.364 0.418
O 0.171 0.863 0.578
O 0.400 0.838 0.195
O 0.260 0.659 0.862
O 0.848 0.147 0.031
O 0.922 0.518 0.744
O 0.260 0.856 0.077
O 0.228 0.349 0.139
O 0.169 0.481 0.078
O 0.613 0.171 0.810
O 0.579 0.202 0.696
O 0.243 0.332 0.738
O 0.068 0.681 0.472
O 0.940 0.365 0.639
O 0.415 0.049 0.810
O 0.571 0.485 0.865
O 0.111 0.056 0.308
O 0.150 0.823 0.259
O 0.416 0.029 0.087
O 0.483 0.783 0.815
O 0.261 0.705 0.258
O 0.399 0.961 0.696
O 0.578 0.507 0.578
O 0.421 0.322 0.246
O 0.323 0.539 0.639
O 0.421 0.520 0.746
O 0.916 0.052 0.811
O 0.896 0.975 0.417
O 0.596 0.174 0.086
O 0.743 0.154 0.240
O 0.012 0.823 0.413
O 0.437 0.366 0.916
O 0.090 0.479 0.259
O 0.175 0.481 0.361
O 0.397 0.815 0.916
O 0.923 0.329 0.242
O 0.264 0.669 0.577
O 0.091 0.975 0.916
O 0.266 0.674 0.972
O 0.728 0.115 0.639
O 0.846 0.547 0.530
O 0.331 0.150 0.743
O 0.012 0.207 0.915
O 0.419 0.803 0.587
O 0.228 0.115 0.639
O 0.651 0.823 0.260
O 0.316 0.506 0.915
O 0.243 0.155 0.237
O 0.675 0.480 0.361
O 0.762 0.818 0.760
O 0.590 0.209 0.415
O 0.438 0.509 0.415
O 0.260 0.818 0.760
O 0.930 0.550 0.031
O 0.613 0.055 0.311
O 0.160 0.465 0.469
O 0.440 0.366 0.640
O 0.978 0.182 0.315
O 0.071 0.657 0.363
O 0.580 0.958 0.196
O 0.483 0.182 0.315
O 0.314 0.122 0.415
O 0.761 0.702 0.258
O 0.590 0.699 0.760
O 0.492 0.824 0.090
O 0.089 0.209 0.414
O 0.321 0.102 0.140
O 0.660 0.466 0.469
O 0.150 0.479 0.761
O 0.078 0.507 0.578
O 0.492 0.159 0.591
O 0.174 0.865 0.863
O 0.512 0.822 0.413
O 0.721 0.141 0.529
O 0.260 0.858 0.362
O 0.332 0.512 0.244
O 0.731 0.343 0.140
O 0.978 0.789 0.809
O 0.431 0.301 0.518
O 0.520 0.201 0.194
O 0.347 0.548 0.530
O 0.758 0.653 0.864
O 0.080 0.202 0.697
O 0.592 0.010 0.587
O 0.764 0.668 0.577
O 0.441 0.515 0.141
O 0.919 0.803 0.586
O 0.763 0.674 0.973
O 0.414 0.781 0.310
O 0.895 0.817 0.916
O 0.827 0.116 0.140
Si 0.149 0.293 0.754
Si 0.998 0.711 0.751
Si 0.148 0.006 0.252
Si 0.499 0.710 0.754
Si 0.855 0.004 0.755
Si 0.483 0.336 0.581
Si 0.648 0.005 0.254
Si 0.353 0.002 0.755
Si 0.999 0.291 0.255
Si 0.855 0.705 0.252
Si 0.483 0.628 0.080
Si 0.354 0.705 0.254
Si 0.983 0.336 0.581
Si 0.650 0.292 0.753
Si 0.499 0.287 0.254
Na 0.987 0.355 0.744
Na 0.685 0.348 0.248
Na 0.826 0.625 0.749
Na 0.327 0.319 0.830
Na 0.478 0.667 0.917
Na 0.329 0.335 0.330
Na 0.826 0.333 0.332
Na 0.014 0.681 0.588
Na 0.000 0.001 0.990
Na 0.835 0.337 0.830
Na 0.167 0.654 0.655
Na 0.687 0.025 0.748
Na 0.978 0.289 0.420
Na 0.323 0.622 0.748
Na 0.498 0.995 0.994
Na 0.824 0.023 0.248
Na 0.667 0.654 0.654
Na 0.185 0.024 0.748
Na 0.487 0.355 0.743
Na 0.514 0.346 0.085
Na 0.667 0.680 0.153
Na 0.487 0.617 0.242
Na 0.324 0.025 0.247
Na 0.478 0.289 0.419
Na 0.514 0.681 0.587
Na 0.499 0.003 0.496
Na 0.167 0.666 0.153
Na 0.998 0.003 0.497
Na 0.988 0.625 0.249
Na 0.187 0.348 0.248
Zn 0.840 0.335 0.685
Zn 0.339 0.335 0.685
Zn 0.000 0.997 0.339
Zn 0.165 0.665 0.013
Zn 0.002 0.003 0.841
Zn 0.501 0.006 0.839
Zn 0.333 0.343 0.992
Zn 0.339 0.344 0.184
Zn 0.835 0.334 0.185
Zn 0.165 0.655 0.519
Zn 0.501 0.997 0.339
Zn 0.335 0.324 0.496
Zn 0.836 0.339 0.983
Zn 0.665 0.655 0.518
Zn 0.666 0.677 0.018
Zn 0.835 0.324 0.496
Nb 0.168 0.668 0.311
Nb 0.500 0.985 0.149
Nb 0.164 0.668 0.812
Nb 0.668 0.666 0.812
Nb 0.000 0.000 0.150
Nb 0.000 0.014 0.651
Nb 0.667 0.666 0.311
Nb 0.499 0.013 0.651
! Size of the total moment in μB per formula unit: 0.01
! Total energy in eV per atom: -6.25
! Formation energy from the elements in eV/atom: -2.310
! E (MP2020) in eV/atom: -6.6750
! Space-group type: P1